First-principles (PBE) data for an optimized crystal structure of U2AsSe, as listed in the Materials Project.

a = 3.5166 Å, b = 3.5166 Å, c = 7.1282 Å
α = 90.00°, β = 90.00°, γ = 90.00°
Element x y z (fractional)
U 0.0000 0.0000 0.2429
U 0.0000 0.0000 0.7571
As 0.5000 0.5000 0.0000
Se 0.5000 0.5000 0.5000

energy of formation = -324 kJ/mol of formula units
SG = P4/mmm
electronic total energy = -8.41 eV/atom

***

First-principles (PBE) data for an optimized crystal structure of U5As3Se2, as listed in the Materials Project.

a = 8.6199 Å, b = 8.6199 Å, c = 8.6199 Å
α = 99.58°, β = 99.58°, γ = 131.85°
Element x y z (fractional)
U 0.0498 0.1495 0.7015
U 0.1495 0.4480 0.0997
U 0.2500 0.7500 0.5000
U 0.3483 0.0498 0.9003
U 0.4480 0.3483 0.2985
U 0.5520 0.6517 0.7015
U 0.6517 0.9502 0.0997
U 0.7500 0.2500 0.5000
U 0.8505 0.5520 0.9003
U 0.9502 0.8505 0.2985
As 0.0000 0.0000 0.0000
As 0.0999 0.3001 0.4000
As 0.3001 0.9001 0.2002
As 0.5000 0.5000 0.0000
As 0.6999 0.0999 0.7998
As 0.9001 0.6999 0.6000
Se 0.2000 0.6000 0.8000
Se 0.4000 0.2000 0.6000
Se 0.6000 0.8000 0.4000
Se 0.8000 0.4000 0.2000

energy of formation = -762 kJ/mol of formula units
SG = I4/m
electronic total energy = -8.44 eV/atom

***

First-principles (PBE) data for an optimized crystal structure of U2As3Se, as listed in the Materials Project.

a = 3.9787 Å, b = 3.9787 Å, c = 8.1715 Å
α = 90.00°, β = 90.00°, γ = 90.00°
Element x y z (fractional)
U 0.0000 0.0000 0.0000
U 0.5000 0.5000 0.4410
As 0.0000 0.5000 0.7215
As 0.5000 0.0000 0.7215
As 0.5000 0.5000 0.0796
Se 0.0000 0.0000 0.3595

energy of formation = -514 kJ/mol of formula units
SG = P4mm
electronic total energy = -7.49 eV/atom

***

First-principles (PBE) data for an optimized crystal structure of YAsSe, as listed in the Materials Project.

a = 17.6585 Å, b = 3.9127 Å, c = 3.9403 Å
α = 90.00°, β = 90.00°, γ = 90.00°
Element x y z (fractional)
Y 0.1391 0.2500 0.2406
Y 0.3609 0.7500 0.7406
Y 0.6391 0.2500 0.2594
Y 0.8609 0.7500 0.7594
As 0.0012 0.2500 0.7156
As 0.4988 0.7500 0.2156
As 0.5012 0.2500 0.7844
As 0.9988 0.7500 0.2844
Se 0.1878 0.7500 0.7427
Se 0.3122 0.2500 0.2427
Se 0.6878 0.7500 0.7573
Se 0.8122 0.2500 0.2573

energy of formation = -462 kJ/mol of formula units
SG = Pnma
electronic total energy = -6.31 eV/atom

***

First-principles (PBE) data for an optimized crystal structure of Y4AsSe3, as listed in the Materials Project.

a = 7.1025 Å, b = 7.1025 Å, c = 7.1025 Å
α = 131.87°, β = 131.87°, γ = 70.44°
Element x y z (fractional)
Y 0.0000 0.5000 0.5000
Y 0.2435 0.2435 0.0000
Y 0.5000 0.0000 0.5000
Y 0.7565 0.7565 0.0000
As 0.0000 0.0000 0.0000
Se 0.2500 0.7500 0.5000
Se 0.5000 0.5000 0.0000
Se 0.7500 0.2500 0.5000

energy of formation = -1488 kJ/mol of formula units
SG = I4/mmm
electronic total energy = -6.88 eV/atom

***

First-principles (PBE) data for an optimized crystal structure of Zr2As3Se, as listed in the Materials Project.

a = 3.8295 Å, b = 3.8295 Å, c = 8.1432 Å
α = 90.00°, β = 90.00°, γ = 90.00°
Element x y z (fractional)
Zr 0.0000 0.0000 0.0000
Zr 0.5000 0.5000 0.4717
As 0.0000 0.5000 0.7350
As 0.5000 0.0000 0.7350
As 0.5000 0.5000 0.1123
Se 0.0000 0.0000 0.3569

energy of formation = -587 kJ/mol of formula units
SG = P4mm
electronic total energy = -6.70 eV/atom

***

First-principles (PBE) data for an optimized crystal structure of SiAs, as listed in the Materials Project.

a = 9.0570 Å, b = 9.0570 Å, c = 10.2279 Å
α = 111.85°, β = 111.85°, γ = 23.55°
Element x y z (fractional)
Si 0.0650 0.0650 0.0918
Si 0.2689 0.2689 0.7007
Si 0.3631 0.3631 0.5902
Si 0.6369 0.6369 0.4098
Si 0.7311 0.7311 0.2993
Si 0.9350 0.9350 0.9082
As 0.0452 0.0452 0.3141
As 0.3240 0.3240 0.3380
As 0.3576 0.3576 0.9455
As 0.6424 0.6424 0.0545
As 0.6760 0.6760 0.6620
As 0.9548 0.9548 0.6859

energy of formation = -14 kJ/mol of formula units
SG = C2/m
electronic total energy = -5.11 eV/atom

***

First-principles (PBE) data for an optimized crystal structure of Si3As, as listed in the Materials Project.

a = 5.4453 Å, b = 5.4453 Å, c = 5.0344 Å
α = 90.00°, β = 90.00°, γ = 120.00°
Element x y z (fractional)
Si 0.1617 0.3234 0.2500
Si 0.1617 0.8383 0.2500
Si 0.3234 0.1617 0.7500
Si 0.6766 0.8383 0.2500
Si 0.8383 0.1617 0.7500
Si 0.8383 0.6766 0.7500
As 0.3333 0.6667 0.7500
As 0.6667 0.3333 0.2500

energy of formation = 225 kJ/mol of formula units
SG = P6_3/mmc
electronic total energy = -4.65 eV/atom

***

Question: What is the electronic total energy in the second record?
Answer: -8.44 eV/atom

***

Question: Which value of energy of formation does entry 2 give?
Answer: -762 kJ/mol of formula units

***

Question: The highest energy of formation belongs to which entry?
Answer: Si3As